Entry 1:
Below is an optimized crystal structure of SrLa4Mn3Cu2O18, with properties calculated at the PBE+U level.

Cell and atoms, written as extended XYZ:
```
56
Lattice="14.203 0.000 0.000 0.000 11.400 0.000 0.000 0.000 5.311" Properties=species:S:1:pos:R:3 pbc="T T T"
Sr 0.000 0.000 0.000
Sr 7.101 0.000 2.655
La 1.806 2.978 1.560
La 1.806 8.422 3.751
La 5.296 2.978 1.095
La 5.296 8.422 4.215
La 8.907 2.978 1.095
La 8.907 8.422 4.215
La 12.397 2.978 1.560
La 12.397 8.422 3.751
Mn 0.000 5.700 2.655
Mn 3.551 5.624 3.983
Mn 3.551 5.776 1.328
Mn 7.101 5.700 0.000
Mn 10.652 5.624 3.983
Mn 10.652 5.776 1.328
Cu 3.551 0.814 3.983
Cu 3.551 10.587 1.328
Cu 10.652 0.814 3.983
Cu 10.652 10.587 1.328
O 0.000 1.637 1.544
O 0.000 3.831 2.704
O 0.000 7.569 2.606
O 0.000 9.763 3.766
O 1.563 5.526 1.383
O 1.563 5.874 3.928
O 2.037 1.674 4.442
O 2.037 9.726 0.868
O 3.493 4.348 0.038
O 3.493 7.052 5.273
O 3.551 1.049 1.328
O 3.551 10.351 3.983
O 3.609 4.348 2.617
O 3.609 7.052 2.693
O 5.065 1.674 3.524
O 5.065 9.726 1.787
O 5.538 5.526 1.272
O 5.538 5.874 4.038
O 7.101 1.637 1.111
O 7.101 3.831 5.261
O 7.101 7.569 0.049
O 7.101 9.763 4.200
O 8.664 5.526 1.272
O 8.664 5.874 4.038
O 9.138 1.674 3.524
O 9.138 9.726 1.787
O 10.594 4.348 2.617
O 10.594 7.052 2.693
O 10.652 1.049 1.328
O 10.652 10.351 3.983
O 10.710 4.348 0.038
O 10.710 7.052 5.273
O 12.166 1.674 4.442
O 12.166 9.726 0.868
O 12.640 5.526 1.383
O 12.640 5.874 3.928
```

Output
As for the space-group type: No. 53. The value obtained for the raw total energy is -6.70 eV/atom. The value obtained for the energy with MP2020 corrections is -0.5384 Ry/atom. The formation enthalpy at 0 K comes out at -2103.9 meV per atom.

Entry 2:
Below is an optimized crystal structure of LiMn3O2F6, with properties calculated at the PBE+U level.

Cell and atoms, written as extended XYZ:
```
24
Lattice="5.622 0.000 0.000 0.000 4.770 0.000 -0.929 0.000 10.255" Properties=species:S:1:pos:R:3 pbc="T T T"
Li 0.000 0.000 0.000
Li -0.465 2.385 5.127
Mn 0.794 0.098 7.697
Mn 1.258 2.287 2.570
Mn 2.347 0.000 5.127
Mn 2.811 2.385 0.000
Mn 3.435 2.483 7.685
Mn 3.899 4.672 2.558
O 2.480 0.814 3.376
O 2.016 1.571 8.503
O 2.678 3.199 1.752
O 2.213 3.956 6.879
F -0.621 3.376 6.977
F -0.157 3.779 1.849
F 0.670 0.969 5.899
F 1.135 1.416 0.771
F 1.217 3.282 4.316
F 0.753 3.873 9.443
F 3.941 0.897 0.811
F 3.476 1.488 5.939
F 3.558 3.354 9.483
F 4.023 3.801 4.356
F 4.850 0.991 8.405
F 5.315 1.394 3.278
```

Output
As for the space-group type: No. 14. The value obtained for the raw total energy is -6.11 eV/atom. The value obtained for the energy with MP2020 corrections is -0.5052 Ry/atom. The formation enthalpy at 0 K comes out at -2641.8 meV per atom.

Entry 3:
Below is an optimized crystal structure of CrO2, with properties calculated at the PBE+U level.

Cell and atoms, written as extended XYZ:
```
12
Lattice="4.836 0.000 0.000 0.000 4.836 0.000 0.000 0.000 4.836" Properties=species:S:1:pos:R:3 pbc="T T T"
Cr 0.000 0.000 0.000
Cr 0.000 2.418 2.418
Cr 2.418 0.000 2.418
Cr 2.418 2.418 0.000
O 0.668 3.086 4.168
O 0.668 4.168 1.750
O 1.750 0.668 4.168
O 1.750 1.750 1.750
O 3.086 3.086 3.086
O 3.086 4.168 0.668
O 4.168 0.668 3.086
O 4.168 1.750 0.668
```

Output
As for the space-group type: No. 205. The value obtained for the raw total energy is -7.34 eV/atom. The value obtained for the energy with MP2020 corrections is -0.6222 Ry/atom. The formation enthalpy at 0 K comes out at -1949.2 meV per atom.

Entry 4:
Below is an optimized crystal structure of Li9V6P16O58, with properties calculated at the PBE+U level.

Cell and atoms, written as extended XYZ:
```
89
Lattice="9.800 0.000 0.000 4.875 8.508 0.000 0.028 0.019 13.971" Properties=species:S:1:pos:R:3 pbc="T T T"
Li 0.000 0.000 0.000
Li 1.998 3.466 6.910
Li 2.037 1.923 12.309
Li 4.259 5.618 11.497
Li 6.540 3.474 13.946
Li 6.507 1.954 5.257
Li 9.795 5.454 5.279
Li 11.078 4.624 0.006
Li 13.387 8.494 6.922
V 3.613 2.688 9.575
V 6.389 7.544 2.698
V 4.917 2.712 2.643
V 7.070 6.374 9.565
V 11.251 6.395 2.571
V 11.935 7.569 9.665
P 2.042 3.466 3.903
P 4.955 8.507 10.917
P 1.315 0.748 8.322
P 2.052 1.947 1.365
P 4.244 5.567 7.903
P 4.258 5.550 0.899
P 9.131 8.390 11.309
P 9.161 8.372 4.348
P 6.480 3.486 10.884
P 7.193 4.678 3.933
P 8.401 5.405 1.316
P 6.508 1.977 8.314
P 7.176 0.754 1.340
P 9.883 5.433 8.351
P 13.316 8.486 3.899
P 11.173 4.663 10.916
O 0.451 0.698 7.128
O 1.735 2.774 5.181
O 1.693 2.687 0.103
O 0.591 0.638 12.174
O 5.058 8.308 3.795
O 2.280 3.378 10.836
O 4.952 6.853 1.459
O 3.494 4.263 8.491
O 4.222 5.524 6.418
O 4.277 5.597 13.357
O 1.396 0.535 1.391
O 2.270 1.993 8.344
O 5.585 7.106 10.672
O 3.568 3.548 3.616
O 7.014 7.967 8.581
O 5.687 5.571 8.551
O 3.552 1.839 1.604
O 5.033 4.302 1.424
O 3.509 1.189 10.704
O 4.926 3.629 10.619
O 7.686 8.383 3.685
O 6.334 5.967 3.660
O 7.706 6.770 1.607
O 4.966 1.901 8.648
O 9.018 8.438 12.787
O 7.054 4.927 10.775
O 8.365 7.168 10.645
O 6.266 3.441 3.908
O 9.097 8.368 5.837
O 5.043 1.132 3.802
O 6.239 1.994 1.376
O 8.338 5.613 8.419
O 6.765 2.797 12.156
O 6.739 2.686 7.034
O 7.909 4.717 0.100
O 8.032 4.790 5.149
O 7.114 2.732 9.606
O 8.116 4.495 2.625
O 10.561 8.382 10.720
O 9.831 7.081 3.781
O 11.210 7.979 1.580
O 10.577 6.780 8.585
O 9.940 5.589 1.338
O 7.124 0.568 8.369
O 8.071 0.959 2.681
O 10.330 4.758 7.090
O 7.998 0.635 5.175
O 10.210 4.497 9.628
O 8.047 0.695 0.140
O 10.413 4.718 12.184
O 11.215 4.888 3.834
O 13.227 8.327 10.867
O 12.650 7.137 3.650
O 12.106 5.879 10.661
O 13.325 6.840 8.473
O 12.567 5.488 1.415
O 11.194 2.712 2.628
O 10.243 0.957 9.675
```

Output
As for the space-group type: No. 1. The value obtained for the raw total energy is -7.03 eV/atom. The value obtained for the energy with MP2020 corrections is -0.5581 Ry/atom. The formation enthalpy at 0 K comes out at -2590.2 meV per atom.

Entry 5:
Below is an optimized crystal structure of Li11V6O5F19, with properties calculated at the PBE+U level.

Cell and atoms, written as extended XYZ:
```
41
Lattice="5.173 0.000 0.000 0.029 5.421 0.000 0.023 2.509 16.126" Properties=species:S:1:pos:R:3 pbc="T T T"
Li 0.000 0.000 0.000
Li 5.188 2.644 5.343
Li 0.116 4.364 11.109
Li 2.477 5.266 5.384
Li 2.479 2.666 0.025
Li 2.632 4.770 1.921
Li 2.631 1.962 7.267
Li 2.667 4.566 12.672
Li 5.052 2.135 1.902
Li 5.097 7.346 12.667
Li 5.085 4.764 7.336
V 0.048 2.194 9.021
V 2.511 5.097 9.034
V 2.525 2.490 3.692
V 2.554 2.374 14.451
V 5.122 4.881 3.673
V 5.144 4.745 14.443
O 0.895 3.340 3.130
O 0.929 3.235 13.846
O 0.958 6.038 8.479
O 3.513 3.987 4.301
O 3.541 3.868 15.088
F 0.449 2.409 10.900
F 0.675 4.632 5.593
F 0.698 1.982 0.215
F 1.645 0.628 3.186
F 1.662 3.339 8.391
F 1.683 5.934 13.931
F 1.831 1.909 5.554
F 1.842 4.701 0.188
F 1.937 4.831 10.891
F 3.268 5.395 7.163
F 3.252 2.779 1.802
F 3.325 2.688 12.637
F 3.510 6.734 9.494
F 4.202 1.286 4.225
F 4.263 6.579 14.985
F 4.258 4.047 9.384
F 4.453 5.457 1.824
F 4.470 2.623 7.181
F 4.504 5.313 12.549
```

Output
As for the space-group type: No. 1. The value obtained for the raw total energy is -5.78 eV/atom. The value obtained for the energy with MP2020 corrections is -0.4652 Ry/atom. The formation enthalpy at 0 K comes out at -2996.9 meV per atom.

Entry 6:
Below is an optimized crystal structure of Tl2MoO4, with properties calculated at the PBE+U level.

Cell and atoms, written as extended XYZ:
```
14
Lattice="5.422 -3.330 0.000 5.422 3.330 0.000 -0.132 0.000 8.265" Properties=species:S:1:pos:R:3 pbc="T T T"
Tl 0.000 0.000 0.000
Tl 3.603 0.308 5.690
Tl 7.108 0.308 2.575
Tl 5.356 -3.141 4.133
Mo 3.665 0.087 1.618
Mo 7.046 0.087 6.647
O 4.488 1.444 2.486
O 3.228 0.583 8.185
O 2.107 -0.335 2.432
O 6.223 1.444 5.779
O 7.483 0.583 0.080
O 4.785 -1.323 1.710
O 5.927 -1.323 6.555
O 8.604 -0.335 5.833
```

Output
As for the largest piezoelectric modulus: 0.6 C/m2. As for the space-group type: No. 5. The value obtained for the raw total energy is -5.86 eV/atom. The value obtained for the energy with MP2020 corrections is -0.4934 Ry/atom. The formation enthalpy at 0 K comes out at -1661.5 meV per atom.

Entry 7:
Below is an optimized crystal structure of Li4Mn3NbCr2P6O24, with properties calculated at the PBE+U level.

Cell and atoms, written as extended XYZ:
```
40
Lattice="8.553 0.000 0.000 3.907 7.695 0.000 4.090 2.601 7.516" Properties=species:S:1:pos:R:3 pbc="T T T"
Li 0.000 0.000 0.000
Li 6.331 6.072 6.396
Li 7.887 6.314 2.377
Li 9.958 1.792 3.842
Mn 5.480 6.647 3.733
Mn 6.700 2.129 6.032
Mn 5.875 1.596 0.018
Nb 10.903 4.704 2.317
Cr 8.147 8.272 4.910
Cr 8.313 3.120 1.168
P 2.723 1.330 1.512
P 5.476 4.937 0.794
P 8.330 4.776 4.572
P 11.119 8.142 3.085
P 13.816 8.574 6.853
P 12.592 4.118 5.355
O 14.694 7.980 5.681
O 5.105 5.197 5.142
O 4.576 2.657 5.431
O 4.002 4.506 1.258
O 6.711 8.306 2.898
O 1.960 0.589 0.415
O 6.077 5.789 1.917
O 9.309 8.313 7.011
O 4.130 1.711 1.095
O 7.654 6.200 4.412
O 7.345 3.641 4.748
O 10.069 8.524 4.140
O 6.382 3.709 0.601
O 9.363 4.871 5.668
O 8.971 4.573 3.113
O 12.379 8.819 6.437
O 7.251 1.402 1.873
O 10.735 6.689 2.576
O 14.525 9.808 7.385
O 12.535 8.093 3.670
O 9.716 4.806 0.452
O 11.975 4.409 6.735
O 11.586 4.115 4.143
O 10.368 2.631 1.851
```

Output
As for the space-group type: No. 1. The value obtained for the raw total energy is -7.30 eV/atom. The value obtained for the energy with MP2020 corrections is -0.5837 Ry/atom. The formation enthalpy at 0 K comes out at -2547.4 meV per atom.

Entry 8:
Below is an optimized crystal structure of Na2CrH8O8, with properties calculated at the PBE+U level.

Cell and atoms, written as extended XYZ:
```
76
Lattice="6.239 0.000 0.000 0.000 11.217 0.000 -3.165 0.000 11.860" Properties=species:S:1:pos:R:3 pbc="T T T"
Na -1.076 2.013 4.597
Na -2.659 3.595 10.527
Na 1.553 0.823 0.036
Na -0.030 4.786 5.965
Na 3.104 6.431 5.894
Na 1.522 10.394 11.824
Na 5.733 7.622 1.333
Na 4.151 9.204 7.263
Cr -0.930 6.734 9.017
Cr 0.652 10.092 3.087
Cr 2.422 1.125 8.773
Cr 4.005 4.483 2.843
H -1.733 2.719 7.408
H -0.151 2.890 1.478
H -1.586 6.329 11.735
H -0.004 10.496 5.805
H -0.270 2.148 7.402
H 1.312 3.460 1.472
H 0.813 7.057 4.119
H -0.770 9.769 10.049
H 1.881 5.928 1.375
H 0.299 10.898 7.305
H -0.087 2.030 9.806
H 1.496 3.579 3.876
H 1.560 5.709 3.783
H -0.022 11.117 9.713
H 1.736 2.354 4.821
H 0.154 3.255 10.751
H 2.921 7.963 1.109
H 1.338 8.863 7.039
H 3.097 0.100 2.147
H 1.514 5.508 8.077
H 1.579 7.638 7.984
H 3.161 9.187 2.054
H 2.776 0.319 4.555
H 1.193 5.289 10.485
H 3.844 1.448 1.811
H 2.262 4.160 7.741
H 1.762 7.757 10.388
H 3.344 9.069 4.458
H 3.078 0.721 6.055
H 4.661 4.888 0.125
H 3.225 8.327 10.382
H 4.808 8.498 4.452
O -1.210 6.405 7.421
O 0.372 10.421 1.491
O -0.895 2.710 6.883
O 0.687 2.899 0.953
O -1.717 5.668 10.004
O -0.135 11.157 4.074
O -1.484 8.276 9.359
O 0.099 8.550 3.429
O 1.624 6.691 0.795
O 0.042 10.135 6.725
O -0.511 2.559 10.525
O 1.072 3.050 4.595
O 1.189 6.240 4.528
O -0.394 10.585 10.458
O 0.749 1.021 8.474
O 2.332 4.588 2.544
O 0.742 6.629 9.316
O 2.325 10.196 3.386
O 3.468 0.632 1.402
O 1.885 4.977 7.332
O 2.003 8.167 7.265
O 3.585 8.658 1.335
O 3.033 1.082 5.135
O 1.450 4.526 11.065
O 2.976 2.667 8.430
O 4.558 2.941 2.500
O 3.209 0.060 7.786
O 4.792 5.549 1.856
O 2.387 8.318 10.907
O 3.970 8.507 4.977
O 2.702 0.796 10.368
O 4.285 4.812 4.439
```

Output
As for the space-group type: No. 14. The value obtained for the raw total energy is -5.30 eV/atom. The value obtained for the energy with MP2020 corrections is -0.4185 Ry/atom. The formation enthalpy at 0 K comes out at -1534.2 meV per atom.

Entry 9:
Below is an optimized crystal structure of LaMgNiO3, with properties calculated at the PBE+U level.

Cell and atoms, written as extended XYZ:
```
6
Lattice="3.790 0.000 0.000 0.000 3.790 0.000 0.000 0.000 7.157" Properties=species:S:1:pos:R:3 pbc="T T T"
La 0.000 0.000 0.000
Mg 0.000 0.000 3.579
Ni 1.895 1.895 3.579
O 0.000 1.895 3.579
O 1.895 0.000 3.579
O 1.895 1.895 0.000
```

Output
As for the space-group type: No. 123. The value obtained for the raw total energy is -5.56 eV/atom. The value obtained for the energy with MP2020 corrections is -0.4650 Ry/atom. The formation enthalpy at 0 K comes out at -1800.5 meV per atom.